DFT (r2SCAN) results for Mg3P2 after structural relaxation.

Summary:
Calculated formation energy (eV per atom): -0.8049

Lattice parameters (Å, degrees): 12.0106 12.0106 12.0106 90.00 90.00 90.00
Space group Ia-3 (No. 206)
Inequivalent atoms, fractional coordinates:
Mg 0.1034 0.1359 0.6301 [48 per cell]
P 0.0000 0.0000 0.0000 [8 per cell]
P 0.0000 0.2500 0.2738 [24 per cell]